{
  "formula": "Li2Si4NiO10",
  "functional": "PBE with a Hubbard U",
  "state": "optimized geometry",
  "formation_enthalpy_0k_ev_per_atom": -2.8198,
  "crystal_system": "monoclinic",
  "m_tot_mub_per_cell": 8.00,
  "lattice": [[6.923, 0.000, 0.308], [0.000, 10.100, 0.000], [-0.257, 0.000, 14.159]],
  "species": ["Ni", "Ni", "Ni", "Ni", "O", "O", "O", "O", "O", "O", "O", "O", "O", "O", "O", "O", "O", "O", "O", "O", "O", "O", "O", "O", "O", "O", "O", "O", "O", "O", "O", "O", "O", "O", "O", "O", "O", "O", "O", "O", "O", "O", "O", "O", "Si", "Si", "Si", "Si", "Si", "Si", "Si", "Si", "Si", "Si", "Si", "Si", "Si", "Si", "Si", "Si", "Li", "Li", "Li", "Li", "Li", "Li", "Li", "Li"],
  "fractional_positions": [[0.551, 0.871, 0.670], [0.051, 0.629, 0.170], [0.949, 0.371, 0.830], [0.449, 0.129, 0.330], [0.674, 0.772, 0.940], [0.099, 0.770, 0.261], [0.599, 0.730, 0.761], [0.394, 0.592, 0.893], [0.605, 0.678, 0.112], [0.894, 0.908, 0.393], [0.955, 0.487, 0.259], [0.714, 0.471, 0.848], [0.045, 0.513, 0.741], [0.425, 0.454, 0.728], [0.545, 0.987, 0.241], [0.895, 0.178, 0.388], [0.183, 0.334, 0.616], [0.471, 0.805, 0.545], [0.734, 0.414, 0.412], [0.075, 0.954, 0.772], [0.234, 0.086, 0.912], [0.683, 0.166, 0.116], [0.817, 0.666, 0.384], [0.455, 0.013, 0.759], [0.401, 0.270, 0.239], [0.786, 0.971, 0.652], [0.266, 0.586, 0.588], [0.826, 0.272, 0.560], [0.925, 0.046, 0.228], [0.214, 0.029, 0.348], [0.575, 0.546, 0.272], [0.029, 0.305, 0.955], [0.766, 0.914, 0.088], [0.317, 0.834, 0.884], [0.174, 0.728, 0.440], [0.326, 0.228, 0.060], [0.529, 0.195, 0.455], [0.606, 0.408, 0.107], [0.105, 0.822, 0.612], [0.395, 0.322, 0.888], [0.971, 0.695, 0.045], [0.106, 0.092, 0.607], [0.286, 0.529, 0.152], [0.901, 0.230, 0.739], [0.741, 0.263, 0.454], [0.241, 0.237, 0.954], [0.775, 0.522, 0.329], [0.725, 0.022, 0.171], [0.507, 0.735, 0.866], [0.986, 0.045, 0.340], [0.493, 0.265, 0.134], [0.514, 0.545, 0.160], [0.225, 0.478, 0.671], [0.259, 0.737, 0.546], [0.993, 0.235, 0.634], [0.275, 0.978, 0.829], [0.759, 0.763, 0.046], [0.486, 0.455, 0.840], [0.007, 0.765, 0.366], [0.014, 0.955, 0.660], [0.696, 0.100, 0.748], [0.159, 0.685, 0.949], [0.341, 0.185, 0.551], [0.304, 0.900, 0.252], [0.196, 0.400, 0.248], [0.841, 0.315, 0.051], [0.659, 0.815, 0.449], [0.804, 0.600, 0.752]]
}